[1]
A relaxed PmSc3 crystal, computed with PBE-GGA.

Cell and atoms, written as POSCAR:
```
PmSc3
1.0
5.7573 0.5154 0.2324
1.2976 5.0360 2.5340
-3.5130 -4.2967 1.6321
Sc Pm
3 1
Cartesian
2.8859 -0.5028 1.6239
0.6560 1.7575 2.7747
3.5275 2.7757 1.3832
0.0000 0.0000 0.0000
```

E_form, eV/atom: 0.063
Crystal system: tetragonal

---

[2]
A relaxed PmSe crystal, computed with PBE-GGA.

Cell and atoms, written as POSCAR:
```
PmSe
1.0
1.2507 0.8189 3.9227
0.5987 3.9698 1.2266
-2.6554 1.7791 2.7214
Pm Se
1 1
Cartesian
0.0000 0.0000 0.0000
-0.4030 3.2839 3.9354
```

E_form, eV/atom: -2.063
Crystal system: cubic

---

[3]
A relaxed PmSe crystal, computed with PBE-GGA.

Cell and atoms, written as POSCAR:
```
PmSe
1.0
2.3418 -4.0561 0.0000
2.3418 4.0561 0.0000
0.0000 0.0000 7.4964
Se Pm
2 2
Cartesian
2.3418 -1.3520 6.5698
2.3418 1.3520 2.8216
2.3418 -1.3520 3.7378
2.3418 1.3520 7.4860
```

E_form, eV/atom: -1.525
Crystal system: hexagonal

---

Number 1: uncorrected energy -5.874 eV per atom. Number 2: uncorrected energy -5.950 eV per atom. Number 3: uncorrected energy -5.413 eV per atom.